No. 1
Here is YCu3Se3 after structural relaxation from the Materials Project. Energies are from GGA-PBE.

a = 7.777 Å, b = 7.777 Å, c = 7.777 Å
α = 53.76°, β = 53.76°, γ = 53.76°
Fractional coordinates of all 14 atoms:
Se: 0.256 0.581 0.911
Se: 0.911 0.256 0.581
Se: 0.744 0.419 0.089
Cu: 0.626 0.279 0.969
Y: 0.166 0.166 0.166
Se: 0.581 0.911 0.256
Y: 0.834 0.834 0.834
Cu: 0.721 0.031 0.374
Cu: 0.969 0.626 0.279
Se: 0.089 0.744 0.419
Cu: 0.279 0.969 0.626
Cu: 0.031 0.374 0.721
Cu: 0.374 0.721 0.031
Se: 0.419 0.089 0.744

Crystal system ... trigonal
Magnetization ... 0.0 μB per formula unit


No. 2
Here is CaCd after structural relaxation from the Materials Project. Energies are from GGA-PBE.

a = 3.858 Å, b = 3.858 Å, c = 3.858 Å
α = 90.00°, β = 90.00°, γ = 90.00°
Fractional coordinates of all 2 atoms:
Cd: 0.500 0.500 0.500
Ca: 0.000 0.000 0.000

Crystal system ... cubic


No. 3
Here is Ba6YTl3Cu6O21 after structural relaxation from the Materials Project. Energies are from GGA-PBE.

a = 13.321 Å, b = 3.720 Å, c = 11.319 Å
α = 89.88°, β = 90.00°, γ = 90.00°
Fractional coordinates of all 37 atoms:
Tl: 0.000 0.010 0.672
O: 0.638 0.006 0.825
Cu: 0.605 0.000 0.666
Cu: 0.390 0.001 0.348
Cu: 0.610 0.001 0.348
Ba: 0.210 0.502 0.167
O: 0.607 0.003 0.166
O: 0.362 0.006 0.825
O: 0.842 0.001 0.331
O: 0.619 0.505 0.010
Tl: 0.000 0.020 0.337
Ba: 0.791 0.504 0.833
O: 0.000 0.483 0.492
Ba: 0.790 0.502 0.167
O: 0.000 0.511 0.833
O: 0.843 0.002 0.002
Ba: 0.208 0.502 0.500
O: 0.845 0.003 0.667
O: 0.619 0.503 0.322
O: 0.361 0.002 0.508
Tl: 0.000 0.999 0.003
Cu: 0.395 0.000 0.666
Ba: 0.792 0.502 0.500
O: 0.157 0.002 0.002
O: 0.381 0.503 0.322
Ba: 0.209 0.504 0.833
O: 0.632 0.501 0.666
O: 0.158 0.001 0.331
O: 0.639 0.002 0.508
O: 0.393 0.003 0.166
Y: 0.500 0.503 0.167
O: 0.155 0.003 0.667
O: 0.368 0.501 0.666
O: 0.000 0.486 0.164
Cu: 0.390 0.003 0.984
O: 0.381 0.505 0.010
Cu: 0.610 0.003 0.984

Crystal system ... monoclinic
Magnetization ... 1.4 μB per formula unit


No. 4
Here is Ba6Ca2TaRu3O18 after structural relaxation from the Materials Project. Energies are from GGA-PBE.

a = 6.006 Å, b = 6.006 Å, c = 14.912 Å
α = 90.00°, β = 90.00°, γ = 60.00°
Fractional coordinates of all 30 atoms:
Ba: 0.000 0.000 0.750
O: 0.646 0.177 0.089
Ta: 0.333 0.333 0.345
Ba: 0.333 0.333 0.603
Ca: 0.000 0.000 0.502
O: 0.823 0.823 0.590
O: 0.353 0.823 0.910
Ba: 0.667 0.667 0.404
O: 0.517 0.967 0.750
O: 0.177 0.646 0.089
Ba: 0.667 0.667 0.101
O: 0.483 0.033 0.248
Ba: 0.000 0.000 0.248
O: 0.174 0.174 0.409
O: 0.033 0.483 0.248
Ru: 0.667 0.667 0.658
Ca: 0.000 0.000 0.000
O: 0.823 0.353 0.910
O: 0.355 0.823 0.590
O: 0.823 0.355 0.590
O: 0.653 0.174 0.409
O: 0.177 0.177 0.089
O: 0.174 0.653 0.409
O: 0.823 0.823 0.910
Ru: 0.333 0.333 0.156
O: 0.967 0.517 0.750
O: 0.517 0.517 0.750
O: 0.483 0.483 0.248
Ru: 0.667 0.667 0.844
Ba: 0.333 0.333 0.902

Crystal system ... trigonal
Magnetization ... 3.0 μB per formula unit


No. 5
Here is VS2N3Cl2 after structural relaxation from the Materials Project. Energies are from GGA-PBE.

a = 5.796 Å, b = 7.384 Å, c = 8.032 Å
α = 95.06°, β = 98.93°, γ = 97.38°
Fractional coordinates of all 16 atoms:
S: 0.749 0.637 0.334
V: 0.760 0.854 0.022
N: 0.657 0.705 0.158
S: 0.179 0.873 0.318
Cl: 0.198 0.353 0.191
Cl: 0.379 0.885 0.835
S: 0.821 0.127 0.682
N: 0.058 0.923 0.139
N: 0.985 0.266 0.595
S: 0.251 0.363 0.666
Cl: 0.621 0.115 0.165
N: 0.942 0.077 0.861
Cl: 0.802 0.647 0.809
N: 0.343 0.295 0.842
V: 0.240 0.146 0.978
N: 0.015 0.734 0.405

Crystal system ... triclinic
Energy above the lowest structure with this stoichiometry ... 4 meV/atom
Magnetization ... 0.0 μB per formula unit


No. 6
Here is UBrO5 after structural relaxation from the Materials Project. Energies are from GGA-PBE.

a = 6.382 Å, b = 10.717 Å, c = 18.877 Å
α = 69.85°, β = 90.00°, γ = 90.00°
Fractional coordinates of all 56 atoms:
O: 0.928 0.793 0.119
U: 0.821 0.338 0.172
Br: 0.044 0.685 0.081
O: 0.462 0.727 0.393
O: 0.962 0.273 0.107
O: 0.404 0.341 0.735
U: 0.679 0.338 0.672
O: 0.661 0.422 0.221
O: 0.173 0.840 0.734
U: 0.103 0.162 0.329
O: 0.996 0.710 0.379
O: 0.760 0.924 0.220
U: 0.603 0.838 0.171
O: 0.554 0.064 0.075
O: 0.628 0.565 0.576
Br: 0.384 0.185 0.081
U: 0.179 0.662 0.828
O: 0.673 0.160 0.766
Br: 0.544 0.315 0.419
Br: 0.616 0.815 0.919
O: 0.339 0.578 0.779
O: 0.839 0.422 0.721
O: 0.260 0.076 0.280
O: 0.038 0.727 0.893
Br: 0.884 0.815 0.419
O: 0.504 0.710 0.879
O: 0.496 0.290 0.121
O: 0.161 0.578 0.279
O: 0.054 0.936 0.425
O: 0.096 0.341 0.235
O: 0.538 0.273 0.607
O: 0.428 0.207 0.381
U: 0.321 0.662 0.328
O: 0.460 0.771 0.107
O: 0.240 0.076 0.780
O: 0.740 0.924 0.720
Br: 0.956 0.315 0.919
O: 0.872 0.565 0.076
O: 0.004 0.290 0.621
O: 0.072 0.207 0.881
O: 0.128 0.435 0.924
Br: 0.456 0.685 0.581
Br: 0.116 0.185 0.581
U: 0.897 0.838 0.671
O: 0.827 0.160 0.266
O: 0.540 0.229 0.893
O: 0.572 0.793 0.619
O: 0.040 0.771 0.607
O: 0.596 0.659 0.265
O: 0.327 0.840 0.234
U: 0.397 0.162 0.829
O: 0.904 0.659 0.765
O: 0.446 0.936 0.925
O: 0.960 0.229 0.393
O: 0.946 0.064 0.575
O: 0.372 0.435 0.424

Crystal system ... monoclinic
Magnetization ... 0.0 μB per formula unit


No. 7
Here is Mg3Al2Cu4 after structural relaxation from the Materials Project. Energies are from GGA-PBE.

a = 5.091 Å, b = 5.091 Å, c = 12.263 Å
α = 89.70°, β = 89.70°, γ = 60.06°
Fractional coordinates of all 18 atoms:
Cu: 0.500 0.000 0.000
Mg: 0.167 0.167 0.788
Cu: 0.000 0.500 0.000
Cu: 0.333 0.833 0.334
Mg: 0.167 0.167 0.542
Cu: 0.667 0.167 0.666
Al: 0.826 0.826 0.829
Cu: 0.666 0.666 0.665
Al: 0.174 0.174 0.171
Mg: 0.833 0.833 0.458
Mg: 0.499 0.499 0.873
Mg: 0.501 0.501 0.127
Mg: 0.833 0.833 0.212
Cu: 0.833 0.333 0.334
Al: 0.000 0.000 0.000
Cu: 0.167 0.667 0.666
Al: 0.500 0.500 0.500
Cu: 0.334 0.334 0.335

Crystal system ... monoclinic
Energy above the lowest structure with this stoichiometry ... 0 meV/atom


No. 8
Here is PaAu3 after structural relaxation from the Materials Project. Energies are from GGA-PBE.

a = 4.909 Å, b = 4.909 Å, c = 4.909 Å
α = 60.00°, β = 60.00°, γ = 60.00°
Fractional coordinates of all 4 atoms:
Au: 0.250 0.250 0.250
Au: 0.500 0.500 0.500
Pa: 0.000 0.000 0.000
Au: 0.750 0.750 0.750

Crystal system ... cubic


No. 9
Here is Ta2Al after structural relaxation from the Materials Project. Energies are from GGA-PBE.

a = 9.922 Å, b = 9.922 Å, c = 5.414 Å
α = 90.00°, β = 90.00°, γ = 90.00°
Fractional coordinates of all 30 atoms:
Ta: 0.189 0.811 0.748
Al: 0.035 0.364 0.000
Ta: 0.562 0.237 0.000
Al: 0.465 0.864 0.500
Al: 0.000 0.000 0.500
Ta: 0.062 0.263 0.500
Al: 0.864 0.465 0.500
Ta: 0.189 0.811 0.252
Ta: 0.311 0.311 0.752
Ta: 0.763 0.438 0.000
Ta: 0.263 0.062 0.500
Ta: 0.811 0.189 0.252
Ta: 0.689 0.689 0.752
Al: 0.965 0.636 0.000
Ta: 0.311 0.311 0.248
Al: 0.500 0.500 0.000
Al: 0.364 0.035 0.000
Ta: 0.597 0.403 0.500
Ta: 0.938 0.737 0.500
Al: 0.636 0.965 0.000
Ta: 0.903 0.903 0.000
Ta: 0.689 0.689 0.248
Al: 0.535 0.136 0.500
Al: 0.136 0.535 0.500
Ta: 0.237 0.562 0.000
Ta: 0.403 0.597 0.500
Ta: 0.737 0.938 0.500
Ta: 0.438 0.763 0.000
Ta: 0.811 0.189 0.748
Ta: 0.097 0.097 0.000

Crystal system ... tetragonal
Magnetization ... 0.0 μB per formula unit


No. 10
Here is Cs5GeAs3 after structural relaxation from the Materials Project. Energies are from GGA-PBE.

a = 6.123 Å, b = 14.915 Å, c = 16.317 Å
α = 90.00°, β = 90.00°, γ = 90.00°
Fractional coordinates of all 36 atoms:
As: 0.250 0.601 0.911
Cs: 0.750 0.381 0.314
As: 0.750 0.690 0.572
As: 0.750 0.899 0.411
Cs: 0.750 0.935 0.949
Cs: 0.250 0.854 0.548
Cs: 0.250 0.551 0.155
Cs: 0.750 0.722 0.794
As: 0.250 0.366 0.681
As: 0.250 0.310 0.428
Cs: 0.250 0.051 0.345
Ge: 0.750 0.739 0.431
Cs: 0.750 0.949 0.655
Ge: 0.250 0.761 0.931
Cs: 0.250 0.278 0.206
As: 0.750 0.399 0.089
As: 0.750 0.134 0.181
Cs: 0.750 0.881 0.186
Cs: 0.250 0.619 0.686
Cs: 0.750 0.435 0.551
As: 0.250 0.866 0.819
Cs: 0.750 0.146 0.452
Cs: 0.250 0.565 0.449
As: 0.250 0.810 0.072
Ge: 0.250 0.261 0.569
Cs: 0.750 0.449 0.845
Cs: 0.750 0.222 0.706
Cs: 0.250 0.065 0.051
Cs: 0.750 0.646 0.048
Cs: 0.250 0.119 0.814
As: 0.750 0.634 0.319
Cs: 0.250 0.778 0.294
As: 0.750 0.190 0.928
Cs: 0.250 0.354 0.952
As: 0.250 0.101 0.589
Ge: 0.750 0.239 0.069

Crystal system ... orthorhombic


No. 11
Here is RbLiMg14O15 after structural relaxation from the Materials Project. Energies are from GGA-PBE.

a = 4.205 Å, b = 8.266 Å, c = 10.351 Å
α = 90.00°, β = 90.00°, γ = 90.00°
Fractional coordinates of all 31 atoms:
Rb: 0.000 0.500 0.444
Li: 0.000 0.000 0.013
Mg: 0.500 0.500 0.180
O: 0.000 0.000 0.252
O: 0.500 0.000 0.465
O: 0.500 0.500 0.577
Mg: 0.500 0.000 0.263
Mg: 0.500 0.500 0.768
O: 0.000 0.242 0.982
Mg: 0.000 0.731 0.766
Mg: 0.000 0.500 0.983
O: 0.500 0.769 0.771
Mg: 0.000 0.243 0.186
O: 0.000 0.500 0.184
Mg: 0.000 0.269 0.766
Mg: 0.000 0.000 0.474
O: 0.500 0.000 0.985
O: 0.000 0.758 0.982
Mg: 0.000 0.757 0.186
O: 0.500 0.231 0.771
O: 0.000 0.799 0.580
O: 0.500 0.749 0.203
O: 0.500 0.500 0.981
Mg: 0.500 0.000 0.800
Mg: 0.500 0.240 0.991
Mg: 0.500 0.760 0.567
O: 0.500 0.251 0.203
Mg: 0.500 0.760 0.991
Mg: 0.500 0.240 0.567
O: 0.000 0.201 0.580
O: 0.000 0.500 0.789

Crystal system ... orthorhombic
Energy above the lowest structure with this stoichiometry ... 0 meV/atom
Magnetization ... 0.0 μB per formula unit


No. 12
Here is PrAl3Ag after structural relaxation from the Materials Project. Energies are from GGA-PBE.

a = 4.319 Å, b = 4.319 Å, c = 6.352 Å
α = 70.13°, β = 70.13°, γ = 90.00°
Fractional coordinates of all 5 atoms:
Al: 0.249 0.749 0.502
Al: 0.394 0.394 0.211
Al: 0.749 0.249 0.502
Ag: 0.621 0.621 0.758
Pr: 0.987 0.987 0.025

Crystal system ... tetragonal


no.,formation enthalpy at 0 K (eV/atom)
1,-0.94
2,-0.35
3,-1.75
4,-2.72
5,-0.40
6,-1.98
7,-0.22
8,-0.39
9,-0.08
10,-0.38
11,-2.72
12,-0.42